# 1
Na2Nb5Al3P12O48 | Materials Project | PBE-GGA | optimized geometry; energy = -7.684 eV/atom; DFT formation energy = -2914.3 meV per atom
1.0
8.6387 0.0000 0.0000
0.0034 14.9580 0.0000
0.0145 0.0186 22.3292
Na Nb Al P O
6 15 9 36 144
Direct
0.0000 0.0000 0.0000
0.0005 0.0007 0.4996
0.0002 0.6636 0.6595
0.4968 0.4971 0.5006
0.4975 0.4974 0.9991
0.4988 0.1656 0.1620
0.0012 0.3311 0.9722
0.4969 0.8320 0.4718
0.4966 0.8328 0.9712
0.4993 0.1688 0.5200
0.4986 0.8357 0.1868
0.4995 0.1660 0.8017
0.5000 0.8283 0.6841
0.5016 0.4994 0.8480
0.5032 0.4954 0.3520
0.9948 0.0020 0.3508
0.9962 0.9980 0.8487
0.9966 0.6626 0.3040
0.9988 0.3285 0.1863
0.9988 0.3362 0.6814
0.9991 0.6648 0.0207
0.0005 0.3323 0.4730
0.0001 0.9981 0.6394
0.4971 0.4996 0.6392
0.4982 0.4957 0.1412
0.4987 0.1659 0.0173
0.5008 0.1673 0.3085
0.9982 0.6649 0.8052
0.9994 0.0015 0.1416
0.9987 0.6625 0.5170
0.1310 0.1866 0.5758
0.1339 0.8590 0.2418
0.1375 0.8043 0.9085
0.1386 0.5256 0.9085
0.1475 0.4786 0.5734
0.1539 0.1376 0.2425
0.2001 0.8316 0.5782
0.2208 0.1636 0.9142
0.2212 0.4988 0.2415
0.2773 0.6639 0.4141
0.2787 0.9983 0.7408
0.2968 0.3317 0.0786
0.3445 0.3039 0.4097
0.3453 0.6383 0.7419
0.3494 0.9815 0.0782
0.3581 0.3595 0.7407
0.3603 0.0265 0.4089
0.3633 0.6837 0.0799
0.6322 0.3520 0.2421
0.6372 0.3053 0.9146
0.6375 0.6372 0.2411
0.6390 0.0272 0.9145
0.6484 0.6824 0.5774
0.6525 0.9753 0.5793
0.7142 0.0069 0.2423
0.7145 0.3397 0.5755
0.7202 0.6660 0.9088
0.7826 0.1735 0.4104
0.7861 0.5049 0.7411
0.7896 0.8385 0.0793
0.8442 0.4737 0.0797
0.8492 0.1829 0.0781
0.8606 0.1398 0.7402
0.8611 0.8048 0.4147
0.8654 0.5196 0.4165
0.8646 0.8519 0.7414
0.0626 0.2317 0.5215
0.0642 0.9015 0.1871
0.0650 0.0928 0.5862
0.0671 0.7645 0.2527
0.0671 0.7656 0.9666
0.0683 0.4318 0.9198
0.0685 0.5682 0.8538
0.0692 0.5706 0.5692
0.0692 0.9005 0.9042
0.0710 0.4338 0.6322
0.0722 0.0981 0.2994
0.0733 0.2311 0.2350
0.1042 0.7474 0.5697
0.1051 0.9168 0.5864
0.1095 0.7487 0.8536
0.1112 0.0819 0.9056
0.1112 0.2456 0.6331
0.1132 0.4170 0.2344
0.1129 0.9144 0.2996
0.1137 0.2465 0.9206
0.1139 0.5806 0.2521
0.1145 0.5813 0.9664
0.1157 0.4165 0.5212
0.1181 0.0812 0.1878
0.1730 0.6512 0.7527
0.1743 0.9868 0.0860
0.1760 0.3178 0.4219
0.1776 0.0146 0.6874
0.1787 0.6494 0.4687
0.1818 0.0118 0.4035
0.1829 0.3459 0.7360
0.1833 0.9840 0.7995
0.1843 0.6792 0.3559
0.1856 0.6775 0.0694
0.1877 0.3167 0.1331
0.1879 0.3473 0.0228
0.3102 0.8171 0.6332
0.3097 0.8474 0.5230
0.3111 0.1779 0.5685
0.3120 0.8465 0.2349
0.3142 0.1788 0.8560
0.3139 0.8168 0.9193
0.3158 0.4837 0.2994
0.3168 0.5126 0.9043
0.3193 0.1489 0.9687
0.3198 0.5146 0.1870
0.3218 0.4864 0.5860
0.3257 0.1513 0.2526
0.3812 0.0809 0.4667
0.3808 0.5808 0.6881
0.3821 0.9186 0.0228
0.3832 0.2492 0.3545
0.3839 0.0806 0.7526
0.3842 0.4136 0.7996
0.3843 0.7469 0.4206
0.3853 0.7456 0.1339
0.3857 0.9165 0.7353
0.3869 0.5823 0.4054
0.3932 0.2475 0.0695
0.3932 0.4166 0.0860
0.4248 0.5979 0.7997
0.4245 0.7317 0.7356
0.4256 0.3996 0.4031
0.4268 0.9344 0.1328
0.4285 0.0716 0.0694
0.4292 0.0677 0.3536
0.4300 0.2655 0.4662
0.4301 0.2655 0.7526
0.4296 0.9317 0.4196
0.4319 0.5912 0.0865
0.4317 0.7292 0.0230
0.4334 0.4019 0.6873
0.5635 0.3978 0.1877
0.5652 0.2595 0.2525
0.5645 0.2630 0.9688
0.5672 0.5986 0.2993
0.5677 0.4006 0.9058
0.5688 0.5925 0.5863
0.5693 0.7327 0.2343
0.5701 0.7300 0.5228
0.5696 0.9320 0.9208
0.5708 0.0657 0.8561
0.5725 0.9317 0.6337
0.5736 0.0667 0.5698
0.6072 0.0858 0.2524
0.6069 0.4192 0.5862
0.6114 0.2534 0.5690
0.6114 0.5801 0.1867
0.6112 0.5832 0.9046
0.6123 0.0837 0.9690
0.6122 0.2510 0.8562
0.6123 0.9197 0.2348
0.6125 0.4123 0.2991
0.6132 0.7476 0.9199
0.6160 0.7443 0.6329
0.6196 0.9172 0.5231
0.6712 0.4856 0.0866
0.6747 0.1771 0.0694
0.6803 0.5169 0.6879
0.6822 0.1494 0.4665
0.6825 0.1812 0.3546
0.6839 0.1496 0.7527
0.6839 0.5121 0.4046
0.6836 0.8174 0.4210
0.6848 0.4863 0.7994
0.6851 0.8448 0.7351
0.6861 0.8183 0.1336
0.6865 0.8495 0.0227
0.8120 0.3192 0.6330
0.8123 0.3447 0.2343
0.8125 0.9853 0.2993
0.8143 0.3175 0.9210
0.8136 0.6501 0.2519
0.8151 0.6498 0.9666
0.8165 0.0168 0.1875
0.8163 0.3503 0.5212
0.8168 0.0133 0.9061
0.8179 0.6796 0.8538
0.8232 0.6774 0.5697
0.8259 0.9850 0.5868
0.8777 0.4175 0.0228
0.8810 0.2446 0.1329
0.8839 0.5839 0.4686
0.8853 0.7511 0.3562
0.8858 0.0797 0.6873
0.8860 0.4191 0.7355
0.8866 0.0851 0.4032
0.8868 0.9123 0.7994
0.8882 0.7527 0.0692
0.8888 0.2506 0.4222
0.8901 0.5854 0.7525
0.8930 0.9192 0.0865
0.9228 0.5663 0.0694
0.9261 0.4324 0.1338
0.9273 0.2301 0.0228
0.9285 0.2337 0.7353
0.9287 0.0925 0.0862
0.9288 0.0983 0.7992
0.9290 0.5649 0.3571
0.9295 0.9005 0.4056
0.9313 0.4279 0.4230
0.9328 0.7598 0.7526
0.9338 0.7628 0.4690
0.9350 0.8988 0.6880

***

# 2
BaReH9 | Materials Project | PBE-GGA | optimized geometry; energy = -4.289 eV/atom; DFT formation energy = -353.8 meV per atom; E above lowest polymorph = 67 meV per atom
1.0
3.5470 2.0478 2.4991
-3.5470 2.0478 2.4991
0.0000 -4.0957 2.4991
Ba Re H
1 1 9
Direct
0.0000 0.0000 0.0000
0.5000 0.5000 0.5000
0.1780 0.5170 0.3243
0.2635 0.5000 0.7365
0.3243 0.1780 0.5170
0.4830 0.8220 0.6757
0.5000 0.7365 0.2635
0.5170 0.3243 0.1780
0.6757 0.4830 0.8220
0.7365 0.2635 0.5000
0.8220 0.6757 0.4830

***

# 3
PaPt5 | Materials Project | PBE-GGA | optimized geometry; energy = -7.392 eV/atom; DFT formation energy = -746.9 meV per atom
1.0
0.0000 3.7617 3.7617
3.7617 0.0000 3.7617
3.7617 3.7617 0.0000
Pa Pt
1 5
Direct
0.0000 0.0000 0.0000
0.1263 0.6246 0.6246
0.2500 0.2500 0.2500
0.6246 0.1263 0.6246
0.6246 0.6246 0.1263
0.6246 0.6246 0.6246

***

# 4
LiZr2Pb | Materials Project | PBE-GGA | optimized geometry; energy = -5.521 eV/atom; DFT formation energy = 157.9 meV per atom
1.0
3.2384 0.0000 0.0000
-1.6192 2.8046 0.0000
0.0000 0.0000 10.4076
Li Zr Pb
1 2 1
Direct
0.0000 0.0000 0.0000
0.6667 0.3333 0.2512
0.6667 0.3333 0.7488
0.0000 0.0000 0.5000

***

> Which value of DFT formation energy does entry 4 give?

157.9 meV per atom